Record 1
Here is a relaxed Ho3In5 crystal from Materials Project. Energies are from PBE.

```
Ho3In5
1.0
4.972 -4.025 0.000
4.972 4.025 0.000
0.000 0.000 10.371
Ho In
6 10
Cartesian
4.972 3.011 7.778
2.953 0.000 0.000
2.953 0.000 5.186
6.991 0.000 0.000
6.991 0.000 5.186
4.972 -3.011 2.593
2.176 1.690 7.778
4.972 2.484 0.472
4.972 2.484 4.713
2.176 -1.690 2.593
4.972 0.076 2.593
4.972 -0.076 7.778
7.768 1.690 7.778
4.972 -2.484 5.658
4.972 -2.484 9.899
7.768 -1.690 2.593
```

=====

Record 2
Here is a relaxed W2N3 crystal from Materials Project. Energies are from PBE.

```
W2N3
1.0
2.518 -4.336 0.000
2.518 4.336 0.000
-1.698 0.000 5.105
W N
4 6
Cartesian
0.000 0.000 0.000
0.022 0.000 2.750
2.507 1.462 2.627
2.507 -1.462 2.627
1.709 2.966 1.391
1.645 2.888 3.959
1.618 0.000 1.384
1.716 0.000 3.947
1.709 -2.966 1.391
1.645 -2.888 3.959
```

=====

Record 3
Here is a relaxed RbLiH12Se3N4 crystal from Materials Project. Energies are from PBE.

Calculated values
Total magnetic moment: 0.0 Bohr magnetons per cell

```
RbLiH12Se3N4
1.0
9.814 -3.064 0.000
9.814 3.064 0.000
-7.625 0.000 18.919
Rb Li H Se N
4 4 48 12 16
Cartesian
1.656 0.093 4.970
-2.157 -0.093 14.430
14.159 0.093 4.489
10.347 -0.093 13.949
-1.437 0.582 8.524
-5.250 -0.582 17.984
17.252 0.582 0.936
13.439 -0.582 10.395
2.013 0.778 1.418
-5.488 0.171 15.360
4.811 2.438 8.011
-1.675 -0.171 5.900
1.672 2.349 18.119
-2.850 0.801 17.524
1.152 0.848 8.103
6.799 2.328 6.648
3.131 2.175 15.779
9.016 2.328 2.812
6.517 2.349 10.259
5.058 2.175 12.600
11.004 2.438 1.449
4.771 0.000 0.046
0.958 0.000 9.506
-1.799 -0.778 10.877
0.963 -0.801 8.065
6.897 0.145 1.233
-2.660 -0.848 17.562
0.074 0.090 18.726
3.085 -0.145 10.693
3.886 -0.090 9.266
8.538 0.031 1.226
4.726 -0.031 10.686
7.276 0.031 8.234
3.464 -0.031 17.693
8.116 0.090 9.653
8.917 0.145 8.226
11.929 -0.090 0.193
14.662 0.848 1.357
5.105 -0.145 17.686
11.039 0.801 10.854
13.801 0.778 8.042
11.044 0.000 9.413
7.232 0.000 18.873
0.998 -2.438 17.470
6.944 -2.175 6.319
5.485 -2.349 8.660
2.986 -2.328 16.108
8.871 -2.175 3.140
5.203 -2.328 12.271
10.850 -0.848 10.817
14.852 -0.801 1.395
10.330 -2.349 0.800
13.677 0.171 13.019
7.192 -2.438 10.908
17.490 -0.171 3.559
9.989 -0.778 17.501
4.409 0.067 2.708
0.596 -0.067 12.167
5.120 0.179 6.459
6.174 0.098 4.319
2.361 -0.098 13.779
1.308 -0.179 15.918
10.695 0.179 3.001
9.641 0.098 5.140
5.828 -0.098 14.600
6.882 -0.179 12.461
11.406 0.067 6.752
7.593 -0.067 16.212
-2.353 0.056 6.635
-6.166 -0.056 16.094
1.397 0.185 0.845
-2.416 -0.185 10.305
0.638 0.063 8.530
-3.175 -0.063 17.989
3.874 0.307 10.212
7.687 -0.307 0.752
4.316 0.307 18.167
8.128 -0.307 8.707
15.177 0.063 0.930
11.364 -0.063 10.389
14.418 0.185 8.615
10.605 -0.185 18.074
18.168 0.056 2.825
14.355 -0.056 12.285
```

=====

Record 4
Here is a relaxed Re4Pb4O13 crystal from Materials Project. Energies are from PBE.

Calculated values
Total magnetic moment: 5.4 Bohr magnetons per cell

```
Re4Pb4O13
1.0
0.000 5.269 5.269
5.269 0.000 5.269
5.269 5.269 0.000
Re Pb O
4 4 13
Cartesian
1.317 1.317 1.317
3.952 3.952 1.317
3.952 1.317 3.952
1.317 3.952 3.952
6.561 3.976 3.976
3.976 6.561 3.976
3.976 3.976 6.561
6.561 6.561 6.561
2.634 2.634 0.576
2.634 0.576 2.634
4.692 2.634 2.634
5.269 5.269 2.022
5.269 2.022 5.269
8.515 5.269 5.269
0.576 2.634 2.634
2.634 4.692 2.634
2.634 2.634 4.692
7.903 7.903 7.903
2.022 5.269 5.269
5.269 8.515 5.269
5.269 5.269 8.515
```

=====

Record 5
Here is a relaxed Bi3Pb crystal from Materials Project. Energies are from PBE.

Calculated values
Total magnetic moment: 0.0 Bohr magnetons per cell

```
Bi3Pb
1.0
0.000 3.979 3.979
3.979 0.000 3.979
3.979 3.979 0.000
Bi Pb
3 1
Cartesian
0.000 0.000 0.000
1.989 1.989 1.989
5.968 5.968 5.968
3.979 3.979 3.979
```

=====

Record 6
Here is a relaxed TeMoWSeS2 crystal from Materials Project. Energies are from PBE.

Calculated values
Offset from the most stable computed form: 52 meV/atom
Total magnetic moment: 0.1 Bohr magnetons per cell

```
TeMoWSeS2
1.0
3.313 0.000 0.000
-1.657 2.869 0.000
0.000 0.000 39.328
Te Mo W Se S
2 2 2 2 4
Cartesian
0.000 0.000 0.000
0.000 0.000 3.848
0.000 0.000 9.278
1.657 0.956 26.417
0.000 0.000 33.756
1.657 0.956 1.923
1.657 0.956 32.071
1.657 0.956 35.440
0.000 0.000 24.890
0.000 0.000 27.944
1.657 0.956 7.753
1.657 0.956 10.805
```

=====

Record 7
Here is a relaxed Mg2MoW3S8 crystal from Materials Project. Energies are from PBE.

Calculated values
Total magnetic moment: 0.0 Bohr magnetons per cell

```
Mg2MoW3S8
1.0
7.048 0.000 0.000
-3.519 6.109 0.000
-3.511 -2.028 5.934
Mg Mo W S
2 1 3 8
Cartesian
0.000 0.000 0.000
0.005 0.002 4.307
-0.005 4.066 0.298
-2.014 2.908 2.479
3.520 0.284 2.481
2.008 2.909 2.481
-2.040 1.178 4.221
-3.526 3.752 4.221
-1.831 5.127 1.396
-0.003 1.954 1.396
-0.003 4.070 3.598
3.519 2.029 0.854
1.827 5.125 1.386
2.043 1.183 4.229
```

=====

Record 8
Here is a relaxed Pr2ZnAg crystal from Materials Project. Energies are from PBE.

```
Pr2ZnAg
1.0
0.000 3.761 3.761
3.761 0.000 3.761
3.761 3.761 0.000
Pr Zn Ag
2 1 1
Cartesian
1.880 1.880 1.880
5.641 5.641 5.641
0.000 0.000 0.000
3.761 3.761 3.761
```

=====

Record 9
Here is a relaxed Rb2CdSiO4 crystal from Materials Project. Energies are from PBE.

Calculated values
Total magnetic moment: 0.0 Bohr magnetons per cell

```
Rb2CdSiO4
1.0
5.586 -5.822 0.000
5.586 5.822 0.000
0.000 0.000 16.937
Rb Cd Si O
16 8 8 32
Cartesian
3.354 2.935 4.437
0.599 0.000 0.000
2.759 0.055 10.322
5.510 2.920 10.849
2.759 -0.055 6.615
5.662 2.920 14.556
7.819 2.935 4.031
5.114 0.000 0.000
6.059 0.000 8.468
3.354 -2.935 12.499
5.510 -2.920 6.088
8.414 0.055 15.084
5.662 -2.920 2.381
8.414 -0.055 1.853
10.574 0.000 8.468
7.819 -2.935 12.906
5.359 2.894 1.590
2.926 0.110 2.651
2.926 -0.110 14.285
5.814 2.894 6.878
5.359 -2.894 15.347
8.246 0.110 5.817
8.246 -0.110 11.120
5.814 -2.894 10.058
2.816 2.738 16.859
5.586 5.617 4.234
2.816 -2.738 0.078
5.586 0.121 4.234
5.586 -0.121 12.703
8.357 2.738 8.546
5.586 -5.617 12.703
8.357 -2.738 8.391
4.096 3.802 16.854
1.335 0.781 4.088
5.433 4.684 2.874
2.878 1.971 1.406
5.740 4.684 5.594
2.961 1.662 15.616
4.175 2.212 8.261
1.335 -0.781 12.849
4.235 0.842 12.681
7.077 3.802 8.551
5.494 1.047 2.860
2.961 -1.662 1.321
5.679 1.047 5.609
2.878 -1.971 15.531
6.998 2.212 0.208
4.235 -0.842 4.256
6.938 0.842 12.724
4.175 -2.212 8.676
8.294 1.971 7.062
5.494 -1.047 14.077
8.211 1.662 9.789
5.679 -1.047 11.328
4.096 -3.802 0.083
6.938 -0.842 4.212
9.838 0.781 4.381
6.998 -2.212 16.729
8.211 -1.662 7.148
5.433 -4.684 14.063
8.294 -1.971 9.875
5.740 -4.684 11.343
9.838 -0.781 12.556
7.077 -3.802 8.386
```

=====

Record 10
Here is a relaxed SnH7C2SeClO3 crystal from Materials Project. Energies are from PBE.

Calculated values
Total magnetic moment: 0.0 Bohr magnetons per cell

```
SnH7C2SeClO3
1.0
7.129 0.000 0.000
1.868 7.544 0.000
0.457 2.411 7.629
Sn H C Se Cl O
2 14 4 2 2 6
Cartesian
1.867 1.383 2.536
7.587 8.572 5.093
1.067 3.898 2.868
2.861 6.419 2.320
2.191 3.454 4.214
2.852 3.854 2.585
3.386 6.009 6.755
4.251 6.452 3.471
4.552 6.535 1.695
4.902 3.419 5.934
5.203 3.503 4.158
6.068 3.945 0.874
6.601 6.101 5.043
7.262 6.500 3.415
6.593 3.535 5.309
8.387 6.057 4.761
2.013 3.416 3.136
3.870 6.804 2.508
5.584 3.150 5.120
7.441 6.539 4.493
3.901 8.249 6.201
5.553 1.705 1.427
1.687 1.771 0.046
7.767 8.183 7.583
2.691 8.571 5.010
4.022 6.430 6.121
5.231 8.604 5.241
4.222 1.351 2.388
5.432 3.524 1.507
6.763 1.383 2.619
```

=====

Record 11
Here is a relaxed BaHBr2O6 crystal from Materials Project. Energies are from PBE.

Calculated values
Total magnetic moment: 2.0 Bohr magnetons per cell

```
BaHBr2O6
1.0
6.276 -4.241 0.000
6.276 4.241 0.000
-5.448 0.000 6.778
Ba H Br O
2 2 4 12
Cartesian
2.190 2.866 5.084
4.914 -2.866 1.695
4.914 2.562 1.695
2.190 -2.562 5.084
2.217 0.148 2.048
-0.507 -0.148 5.437
7.611 0.148 1.341
4.888 -0.148 4.730
-1.668 0.315 4.298
1.056 -0.315 0.909
1.238 0.802 3.269
0.089 1.287 6.083
-1.486 -0.802 6.658
4.292 1.287 4.085
2.812 -1.287 2.693
8.591 0.802 0.120
7.016 -1.287 0.696
5.867 -0.802 3.509
6.048 0.315 5.869
8.772 -0.315 2.480
```

=====

Record 12
Here is a relaxed KAsO3 crystal from Materials Project. Energies are from PBE.

```
KAsO3
1.0
4.782 0.000 0.000
0.000 6.105 0.000
0.000 0.000 13.539
K As O
4 4 12
Cartesian
0.950 1.304 2.003
1.441 4.800 8.772
3.341 1.748 11.536
3.832 4.357 4.766
0.905 4.861 12.476
1.485 1.244 5.706
3.296 4.297 1.063
3.876 1.808 7.832
0.780 1.334 7.369
0.900 0.366 12.034
0.995 2.438 4.646
1.396 3.667 11.416
1.491 5.739 5.265
1.611 4.771 0.599
3.171 1.719 6.170
3.291 2.686 1.504
3.386 0.614 8.893
3.786 5.491 2.123
3.882 3.419 8.274
4.001 4.386 12.939
```

=====

no.,calculated formation energy (eV/atom)
1,-0.44
2,-0.65
3,-0.52
4,-1.74
5,0.09
6,-0.71
7,-0.99
8,-0.27
9,-2.32
10,-0.63
11,-0.82
12,-1.92